Record 1
Crystalline Ho2RuRh at its relaxed geometry. Source: Materials Project, functional PBE. Values from VASP.

Output
Symmetry = Fm-3m (225)
Formation enthalpy at 0 K = -0.66 eV per atom

The structure in Quantum ESPRESSO input format:
```
&SYSTEM
  ibrav = 0, nat = 4, ntyp = 3
/
ATOMIC_SPECIES
Ho 164.93 Ho.upf
Rh 102.91 Rh.upf
Ru 101.07 Ru.upf
CELL_PARAMETERS angstrom
0.7035 0.3507 4.7336
-1.7373 3.7674 2.4111
-3.6824 -0.5763 3.0220
ATOMIC_POSITIONS crystal
Ho 0.2500 0.2500 0.2500
Ho 0.7500 0.7500 0.7500
Rh 0.5000 0.5000 0.5000
Ru 0.0000 0.0000 0.0000
```

---

Record 2
Crystalline Pr2ZnPtO6 at its relaxed geometry. Source: Materials Project, functional PBE. Values from VASP.

Output
Symmetry = P2_1/c (14)
Formation enthalpy at 0 K = -2.56 eV per atom

The structure in Quantum ESPRESSO input format:
```
&SYSTEM
  ibrav = 0, nat = 20, ntyp = 4
/
ATOMIC_SPECIES
Pr 140.91 Pr.upf
Zn 65.41 Zn.upf
O 16.00 O.upf
Pt 195.08 Pt.upf
CELL_PARAMETERS angstrom
5.8597 0.0000 0.0000
0.0000 5.5544 0.0000
0.0000 5.5363 7.9208
ATOMIC_POSITIONS crystal
Pr 0.4342 0.2323 0.7494
Pr 0.9342 0.7677 0.7506
Pr 0.0658 0.2323 0.2494
Pr 0.5658 0.7677 0.2506
Zn 0.0000 0.5000 0.5000
Zn 0.5000 0.5000 0.0000
O 0.6967 0.2488 0.5509
O 0.1967 0.7512 0.9491
O 0.2935 0.1363 0.0549
O 0.0335 0.3500 0.7522
O 0.5335 0.6500 0.7478
O 0.7065 0.8637 0.9451
O 0.2065 0.1363 0.5549
O 0.3033 0.7512 0.4491
O 0.9665 0.6500 0.2478
O 0.4665 0.3500 0.2522
O 0.7935 0.8637 0.4451
O 0.8033 0.2488 0.0509
Pt 0.0000 0.0000 0.0000
Pt 0.5000 0.0000 0.5000
```

---

Record 3
Crystalline Tb2IrRu at its relaxed geometry. Source: Materials Project, functional PBE. Values from VASP.

Output
Symmetry = Fm-3m (225)
Formation enthalpy at 0 K = -0.58 eV per atom

The structure in Quantum ESPRESSO input format:
```
&SYSTEM
  ibrav = 0, nat = 4, ntyp = 3
/
ATOMIC_SPECIES
Ir 192.22 Ir.upf
Tb 158.93 Tb.upf
Ru 101.07 Ru.upf
CELL_PARAMETERS angstrom
3.5514 1.4365 2.9761
1.0856 4.7125 0.3837
-1.0730 2.4128 4.0695
ATOMIC_POSITIONS crystal
Ir 0.5000 0.5000 0.5000
Tb 0.2500 0.2500 0.2500
Tb 0.7500 0.7500 0.7500
Ru 0.0000 0.0000 0.0000
```

---

Record 4
Crystalline La2BiN at its relaxed geometry. Source: Materials Project, functional PBE. Values from VASP.

Output
Symmetry = P4/nmm (129)
Formation enthalpy at 0 K = -1.35 eV per atom

The structure in Quantum ESPRESSO input format:
```
&SYSTEM
  ibrav = 0, nat = 8, ntyp = 3
/
ATOMIC_SPECIES
Bi 208.98 Bi.upf
La 138.91 La.upf
N 14.01 N.upf
CELL_PARAMETERS angstrom
4.8380 0.0000 0.0000
0.0000 4.8380 0.0000
0.0000 0.0000 9.5218
ATOMIC_POSITIONS crystal
Bi 0.5000 0.0000 0.6980
Bi 0.0000 0.5000 0.3020
La 0.5000 0.5000 0.0000
La 0.0000 0.0000 0.0000
La 0.5000 0.0000 0.3250
La 0.0000 0.5000 0.6750
N 0.5000 0.0000 0.0875
N 0.0000 0.5000 0.9125
```

---

Record 5
Crystalline Ti7Al2O15 at its relaxed geometry. Source: Materials Project, functional PBE. Values from VASP.

Output
Symmetry = C2/m (12)
Formation enthalpy at 0 K = -3.39 eV per atom

The structure in Quantum ESPRESSO input format:
```
&SYSTEM
  ibrav = 0, nat = 24, ntyp = 3
/
ATOMIC_SPECIES
Ti 47.87 Ti.upf
O 16.00 O.upf
Al 26.98 Al.upf
CELL_PARAMETERS angstrom
1.4949 9.1000 0.0000
-1.4949 9.1000 0.0000
0.0000 1.4042 9.4421
ATOMIC_POSITIONS crystal
Ti 0.1892 0.1892 0.6163
Ti 0.8108 0.8108 0.3837
Ti 0.0000 0.0000 0.0000
Ti 0.6780 0.6780 0.9536
Ti 0.3220 0.3220 0.0464
Ti 0.5095 0.5095 0.6488
Ti 0.4905 0.4905 0.3512
O 0.7733 0.7733 0.6036
O 0.0083 0.0083 0.7860
O 0.1868 0.1868 0.8153
O 0.8005 0.8005 0.9074
O 0.1995 0.1995 0.0926
O 0.6201 0.6201 0.6060
O 0.4257 0.4257 0.0085
O 0.8132 0.8132 0.1847
O 0.0000 0.0000 0.5000
O 0.3799 0.3799 0.3940
O 0.5743 0.5743 0.9915
O 0.3927 0.3927 0.6945
O 0.2267 0.2267 0.3964
O 0.9917 0.9917 0.2140
O 0.6073 0.6073 0.3055
Al 0.8422 0.8422 0.7231
Al 0.1578 0.1578 0.2769
```

---

Record 6
Crystalline LiCuPO4 at its relaxed geometry. Source: Materials Project, functional PBE. Values from VASP.

Output
Symmetry = P2_1/c (14)
Formation enthalpy at 0 K = -2.14 eV per atom
Energy above the most stable polymorph in this dataset = 60 meV per atom

The structure in Quantum ESPRESSO input format:
```
&SYSTEM
  ibrav = 0, nat = 84, ntyp = 4
/
ATOMIC_SPECIES
O 16.00 O.upf
Cu 63.55 Cu.upf
P 30.97 P.upf
Li 6.94 Li.upf
CELL_PARAMETERS angstrom
7.5780 0.0000 0.0000
0.0000 8.5768 0.0000
0.0000 8.3736 15.1238
ATOMIC_POSITIONS crystal
O 0.2828 0.8505 0.3627
O 0.1174 0.5852 0.3690
O 0.7667 0.7892 0.2845
O 0.7648 0.4206 0.4903
O 0.8719 0.7532 0.6594
O 0.7665 0.1034 0.9584
O 0.7333 0.7892 0.7845
O 0.7172 0.1495 0.6373
O 0.2333 0.2108 0.7155
O 0.6174 0.4148 0.1310
O 0.2137 0.9235 0.6780
O 0.1261 0.1754 0.0454
O 0.3739 0.1754 0.5454
O 0.9407 0.4379 0.1047
O 0.2863 0.9235 0.1780
O 0.9530 0.7382 0.1767
O 0.7676 0.4867 0.2974
O 0.4530 0.2618 0.3233
O 0.2352 0.5794 0.5097
O 0.2667 0.2108 0.2155
O 0.7137 0.0765 0.8220
O 0.9476 0.8647 0.4628
O 0.7324 0.4867 0.7974
O 0.7863 0.0765 0.3220
O 0.3826 0.5852 0.8690
O 0.0470 0.2618 0.8233
O 0.7828 0.1495 0.1373
O 0.2335 0.8966 0.0416
O 0.4407 0.5621 0.3953
O 0.3719 0.2468 0.8406
O 0.8739 0.8246 0.9546
O 0.5593 0.4379 0.6047
O 0.2676 0.5133 0.2026
O 0.7335 0.1034 0.4584
O 0.0524 0.1353 0.5372
O 0.2172 0.8505 0.8627
O 0.1281 0.2468 0.3406
O 0.6281 0.7532 0.1594
O 0.5524 0.8647 0.9628
O 0.2665 0.8966 0.5416
O 0.2648 0.5794 0.0097
O 0.6261 0.8246 0.4546
O 0.8826 0.4148 0.6310
O 0.4476 0.1353 0.0372
O 0.2324 0.5133 0.7026
O 0.7352 0.4206 0.9903
O 0.5470 0.7382 0.6767
O 0.0593 0.5621 0.8953
Cu 0.1819 0.6795 0.2404
Cu 0.6729 0.6532 0.4057
Cu 0.8232 0.0154 0.5797
Cu 0.1729 0.3468 0.0943
Cu 0.6819 0.3205 0.2596
Cu 0.6768 0.0154 0.0797
Cu 0.8271 0.6532 0.9057
Cu 0.3271 0.3468 0.5943
Cu 0.3181 0.6795 0.7404
Cu 0.8181 0.3205 0.7596
Cu 0.3232 0.9846 0.9203
Cu 0.1768 0.9846 0.4203
P 0.7235 0.6884 0.7299
P 0.2319 0.6443 0.9099
P 0.2719 0.0315 0.0758
P 0.2281 0.0315 0.5758
P 0.2681 0.6443 0.4099
P 0.7719 0.9685 0.4242
P 0.2235 0.3116 0.7701
P 0.7281 0.9685 0.9242
P 0.7681 0.3557 0.0901
P 0.7765 0.6884 0.2299
P 0.7319 0.3557 0.5901
P 0.2765 0.3116 0.2701
Li 0.4756 0.7101 0.5674
Li 0.5244 0.2899 0.4326
Li 0.0295 0.6444 0.5883
Li 0.4705 0.6444 0.0882
Li 0.9057 0.0036 0.2464
Li 0.9705 0.3556 0.4118
Li 0.4057 0.9964 0.2536
Li 0.5295 0.3556 0.9118
Li 0.0244 0.7101 0.0674
Li 0.5943 0.0036 0.7464
Li 0.9756 0.2899 0.9326
Li 0.0943 0.9964 0.7536
```

---

Record 7
Crystalline CuSO4 at its relaxed geometry. Source: Materials Project, functional PBE. Values from VASP.

Output
Symmetry = Pnma (62)
Formation enthalpy at 0 K = -1.51 eV per atom

The structure in Quantum ESPRESSO input format:
```
&SYSTEM
  ibrav = 0, nat = 24, ntyp = 3
/
ATOMIC_SPECIES
O 16.00 O.upf
S 32.06 S.upf
Cu 63.55 Cu.upf
CELL_PARAMETERS angstrom
4.9568 0.0000 0.0000
0.0000 6.7543 0.0000
0.0000 0.0000 8.4794
ATOMIC_POSITIONS crystal
O 0.7297 0.2500 0.8690
O 0.0699 0.2500 0.1357
O 0.8093 0.5662 0.6314
O 0.3093 0.0662 0.8686
O 0.6907 0.5662 0.1314
O 0.7703 0.2500 0.3690
O 0.2703 0.7500 0.1310
O 0.3093 0.4338 0.8686
O 0.4301 0.2500 0.6357
O 0.6907 0.9338 0.1314
O 0.8093 0.9338 0.6314
O 0.9301 0.7500 0.8643
O 0.1907 0.4338 0.3686
O 0.2297 0.7500 0.6310
O 0.5699 0.7500 0.3643
O 0.1907 0.0662 0.3686
S 0.4475 0.2500 0.8178
S 0.9475 0.7500 0.6822
S 0.5525 0.7500 0.1822
S 0.0525 0.2500 0.3178
Cu 0.5000 0.0000 0.5000
Cu 0.5000 0.5000 0.5000
Cu 0.0000 0.0000 0.0000
Cu 0.0000 0.5000 0.0000
```

---

Record 8
Crystalline Ba2LuTaO6 at its relaxed geometry. Source: Materials Project, functional PBE. Values from VASP.

Output
Symmetry = Fm-3m (225)
Formation enthalpy at 0 K = -3.63 eV per atom

The structure in Quantum ESPRESSO input format:
```
&SYSTEM
  ibrav = 0, nat = 10, ntyp = 4
/
ATOMIC_SPECIES
O 16.00 O.upf
Ba 137.33 Ba.upf
Lu 174.97 Lu.upf
Ta 180.95 Ta.upf
CELL_PARAMETERS angstrom
-0.8085 -5.1311 -2.9438
-4.5512 -0.5631 -3.8233
1.0495 -0.2706 -5.8714
ATOMIC_POSITIONS crystal
O 0.7612 0.2388 0.2388
O 0.7612 0.7612 0.2388
O 0.7612 0.2388 0.7612
O 0.2388 0.2388 0.7612
O 0.2388 0.7612 0.2388
O 0.2388 0.7612 0.7612
Ba 0.2500 0.2500 0.2500
Ba 0.7500 0.7500 0.7500
Lu 0.5000 0.5000 0.5000
Ta 0.0000 0.0000 0.0000
```